Below is GaSe after structural relaxation, with properties calculated at the PBE level.

Results
- corrected total energy (MP2020 scheme) (eV per cell) = -32.7

Cell: 3.8176 3.8176 17.7505 Å, 90.00 90.00 120.00°
Space group P6_3/mmc (No. 194)
Symmetry-distinct sites (fractional):
1 Ga 0.3333 0.6667 0.1804
2 Se 0.3333 0.6667 0.6143

Below is SmYS2 after structural relaxation, with properties calculated at the PBE level.

Results
- corrected total energy (MP2020 scheme) (eV per cell) = -85.5

Cell: 3.9311 3.9311 19.7315 Å, 90.00 90.00 120.00°
Space group R-3m (No. 166, hexagonal axes)
Symmetry-distinct sites (fractional):
1 Sm 0.0000 0.0000 0.0000
2 Y 0.0000 0.0000 0.5000
3 S 0.0000 0.0000 0.2465

Below is C2S3 after structural relaxation, with properties calculated at the PBE level.

Results
- corrected total energy (MP2020 scheme) (eV per cell) = -247.6

Cell: 8.478 10.670 10.473 Å, 90.00 108.43 90.00°
Space group P2_1/c (No. 14)
Symmetry-distinct sites (fractional):
1 C 0.119 0.078 0.341
2 C 0.218 0.511 0.933
3 C 0.280 0.018 0.568
4 C 0.374 0.712 0.045
5 S 0.033 0.063 0.175
6 S 0.091 0.214 0.425
7 S 0.233 0.163 0.620
8 S 0.263 0.659 0.885
9 S 0.396 0.598 0.172
10 S 0.451 0.646 0.574

Below is KCeNb2O6 after structural relaxation, with properties calculated at the PBE level.

Results
- corrected total energy (MP2020 scheme) (eV per cell) = -347.3

Cell: 8.103 8.103 8.103 Å, 90.00 90.00 90.00°
Space group Fm-3m (No. 225)
Symmetry-distinct sites (fractional):
1 K 0.000 0.000 0.000
2 Ce 0.000 0.000 0.500
3 Nb 0.250 0.250 0.250
4 O 0.000 0.250 0.250

Below is NdBe13 after structural relaxation, with properties calculated at the PBE level.

Cell: 10.302 10.302 10.302 Å, 90.00 90.00 90.00°
Space group Fm-3c (No. 226)
Symmetry-distinct sites (fractional):
1 Nd 0.250 0.250 0.250
2 Be 0.000 0.000 0.000
3 Be 0.000 0.113 0.176

Below is GdB6 after structural relaxation, with properties calculated at the PBE level.

Cell: 4.110 4.110 4.110 Å, 90.00 90.00 90.00°
Space group Pm-3m (No. 221)
Symmetry-distinct sites (fractional):
1 Gd 0.000 0.000 0.000
2 B 0.199 0.500 0.500

| no. | VASP energy (eV per atom) | E_form (eV/atom) |
| --- | --- | --- |
| 1 | -3.8530 | -0.827 |
| 2 | -6.8725 | -2.259 |
| 3 | -5.8891 | -0.018 |
| 4 | -8.2692 | -2.988 |
| 5 | -3.9750 | -0.162 |
| 6 | -8.1927 | -0.457 |